Entry 1:
## Na2NiPCO7 (GGA+U)

Data for a relaxed structure of Na2NiPCO7.

abc: 9.0120 6.5169 10.3661
angles: 90.00 91.45 90.00
Atoms (fractional coordinates):
Na1 0.0000 0.0043 0.0000
Na2 0.0000 0.9957 0.5000
Na3 0.1772 0.2302 0.2669
Na4 0.1772 0.7698 0.7669
Na5 0.6482 0.2661 0.5186
Na6 0.6482 0.7339 0.0186
Na7 0.6486 0.2687 0.0206
Na8 0.6486 0.7313 0.5206
Ni1 0.2523 0.4982 0.5050
Ni2 0.2523 0.5018 0.0050
Ni3 0.5616 0.0026 0.7838
Ni4 0.5616 0.9974 0.2838
P1 0.3329 0.0016 0.0386
P2 0.3329 0.9984 0.5386
P3 0.4835 0.4993 0.7538
P4 0.4835 0.5007 0.2538
C1 0.8365 0.0063 0.2507
C2 0.8365 0.9937 0.7507
C3 0.9812 0.4962 0.5368
C4 0.9812 0.5038 0.0368
O1 0.0403 0.4876 0.4239
O2 0.0403 0.5124 0.9239
O3 0.0805 0.4959 0.1309
O4 0.0805 0.5041 0.6309
O5 0.2316 0.1911 0.0138
O6 0.2316 0.8089 0.5138
O7 0.2351 0.1852 0.4978
O8 0.2351 0.8148 0.9978
O9 0.3373 0.4962 0.3273
O10 0.3373 0.5038 0.8273
O11 0.3714 0.0014 0.6866
O12 0.3714 0.9986 0.1866
O13 0.4508 0.4971 0.6045
O14 0.4508 0.5029 0.1045
O15 0.4801 0.0056 0.9660
O16 0.4801 0.9944 0.4660
O17 0.5816 0.3111 0.2892
O18 0.5818 0.3121 0.7912
O19 0.5818 0.6879 0.2912
O20 0.5816 0.6889 0.7892
O21 0.7430 0.9997 0.1523
O22 0.7430 0.0003 0.6523
O23 0.7757 0.0010 0.3643
O24 0.7757 0.9990 0.8643
O25 0.8428 0.4982 0.5548
O26 0.8428 0.5018 0.0548
O27 0.9755 0.0171 0.2382
O28 0.9755 0.9829 0.7382

Computed properties:
ΔE_f	-2.07	eV/atom
energy above the most stable polymorph in this dataset	15	meV per atom
size of the total moment	1.00	μB/f.u.
E (MP2020)	-330.290	eV/cell

Entry 2:
## Li5VP3O11 (GGA+U)

Data for a relaxed structure of Li5VP3O11.

abc: 5.3749 8.5292 9.6448
angles: 84.75 88.35 85.10
Atoms (fractional coordinates):
Li1 0.0113 0.0038 0.3383
Li2 0.1729 0.6168 0.8214
Li3 0.2065 0.3788 0.6667
Li4 0.2803 0.6710 0.1576
Li5 0.3315 0.3807 0.3412
Li6 0.6685 0.6193 0.6588
Li7 0.7197 0.3290 0.8424
Li8 0.7935 0.6212 0.3333
Li9 0.8271 0.3832 0.1786
Li10 0.9887 0.9962 0.6617
V1 0.0000 0.0000 0.0000
V2 0.5000 0.0000 0.5000
P1 0.2298 0.3284 0.0195
P2 0.2866 0.7063 0.4846
P3 0.4642 0.0500 0.1859
P4 0.5358 0.9500 0.8141
P5 0.7134 0.2937 0.5154
P6 0.7702 0.6716 0.9805
O1 0.0206 0.7477 0.9851
O2 0.1518 0.8730 0.5049
O3 0.1664 0.6233 0.3698
O4 0.2102 0.4348 0.1397
O5 0.2598 0.0110 0.8135
O6 0.2751 0.9309 0.1608
O7 0.2887 0.6035 0.6268
O8 0.3194 0.4005 0.8783
O9 0.3742 0.1336 0.3147
O10 0.4392 0.2561 0.5570
O11 0.4483 0.1883 0.0578
O12 0.5517 0.8117 0.9422
O13 0.5608 0.7439 0.4430
O14 0.6258 0.8664 0.6853
O15 0.6806 0.5995 0.1217
O16 0.7113 0.3965 0.3732
O17 0.7249 0.0691 0.8392
O18 0.7402 0.9890 0.1865
O19 0.7898 0.5652 0.8603
O20 0.8336 0.3767 0.6302
O21 0.8482 0.1270 0.4951
O22 0.9794 0.2523 0.0149

Computed properties:
ΔE_f	-2.66	eV/atom
size of the total moment	3.00	μB/f.u.
E (MP2020)	-285.035	eV/cell

Entry 3:
## Mn3BiO8 (GGA+U)

Data for a relaxed structure of Mn3BiO8.

abc: 8.6094 8.6094 8.6094
angles: 90.00 90.00 90.00
Atoms (fractional coordinates):
Mn1 0.0989 0.1511 0.6250
Mn2 0.1250 0.4011 0.8489
Mn3 0.1511 0.6250 0.0989
Mn4 0.3489 0.3750 0.5989
Mn5 0.3750 0.5989 0.3489
Mn6 0.4011 0.8489 0.1250
Mn7 0.5989 0.3489 0.3750
Mn8 0.6250 0.0989 0.1511
Mn9 0.6511 0.8750 0.9011
Mn10 0.8489 0.1250 0.4011
Mn11 0.8750 0.9011 0.6511
Mn12 0.9011 0.6511 0.8750
Bi1 0.1250 0.8750 0.3750
Bi2 0.3750 0.1250 0.8750
Bi3 0.6250 0.6250 0.6250
Bi4 0.8750 0.3750 0.1250
O1 0.0716 0.1384 0.4026
O2 0.0974 0.9284 0.6384
O3 0.1116 0.1784 0.8474
O4 0.1243 0.3757 0.6243
O5 0.1257 0.6257 0.8743
O6 0.1384 0.4026 0.0716
O7 0.1526 0.6116 0.3216
O8 0.1784 0.8474 0.1116
O9 0.3216 0.1526 0.6116
O10 0.3474 0.3884 0.8216
O11 0.3616 0.5974 0.5716
O12 0.3743 0.3743 0.3743
O13 0.3757 0.6243 0.1243
O14 0.3884 0.8216 0.3474
O15 0.4026 0.0716 0.1384
O16 0.4284 0.8616 0.9026
O17 0.5716 0.3616 0.5974
O18 0.5974 0.5716 0.3616
O19 0.6116 0.3216 0.1526
O20 0.6243 0.1243 0.3757
O21 0.6257 0.8743 0.1257
O22 0.6384 0.0974 0.9284
O23 0.6526 0.8884 0.6784
O24 0.6784 0.6526 0.8884
O25 0.8216 0.3474 0.3884
O26 0.8474 0.1116 0.1784
O27 0.8616 0.9026 0.4284
O28 0.8743 0.1257 0.6257
O29 0.8757 0.8757 0.8757
O30 0.8884 0.6784 0.6526
O31 0.9026 0.4284 0.8616
O32 0.9284 0.6384 0.0974

Computed properties:
ΔE_f	-1.66	eV/atom
energy above the most stable polymorph in this dataset	0	meV per atom
size of the total moment	8.00	μB/f.u.
E (MP2020)	-363.499	eV/cell

Entry 4:
## SrMoO3 (GGA+U)

Data for a relaxed structure of SrMoO3.

abc: 5.7328 5.7427 5.7441
angles: 90.48 119.22 119.84
Atoms (fractional coordinates):
Sr1 0.0100 0.2566 0.2574
Sr2 0.9900 0.7434 0.7426
Mo1 0.5000 0.0000 0.5000
Mo2 0.5000 0.5000 0.0000
O1 0.0102 0.7083 0.3042
O2 0.4076 0.1825 0.1718
O3 0.4974 0.2794 0.7177
O4 0.5026 0.7206 0.2823
O5 0.5924 0.8175 0.8282
O6 0.9898 0.2917 0.6958

Computed properties:
ΔE_f	-2.60	eV/atom
size of the total moment	2.00	μB/f.u.
E (MP2020)	-80.733	eV/cell

Entry 5:
## Li32Mn11Cr5O48 (GGA+U)

Data for a relaxed structure of Li32Mn11Cr5O48.

abc: 5.0168 5.0168 38.4779
angles: 91.06 91.06 119.79
Atoms (fractional coordinates):
Li1 0.0000 0.0000 0.0000
Li2 0.0279 0.3440 0.0626
Li3 0.0650 0.0610 0.1874
Li4 0.1049 0.7749 0.3124
Li5 0.1323 0.1255 0.3750
Li6 0.1533 0.4709 0.4375
Li7 0.1937 0.1852 0.5624
Li8 0.2251 0.8951 0.6876
Li9 0.2500 0.2500 0.7500
Li10 0.2777 0.5939 0.8127
Li11 0.3151 0.3112 0.9374
Li12 0.3545 0.0258 0.0625
Li13 0.3776 0.3723 0.1250
Li14 0.4061 0.7223 0.1873
Li15 0.4372 0.4318 0.3125
Li16 0.4769 0.1517 0.4378
Li17 0.5025 0.4975 0.5000
Li18 0.5291 0.8467 0.5625
Li19 0.5682 0.5628 0.6875
Li20 0.6045 0.2758 0.8126
Li21 0.6277 0.6224 0.8750
Li22 0.6560 0.9721 0.9374
Li23 0.6888 0.6849 0.0626
Li24 0.7242 0.3955 0.1874
Li25 0.7500 0.7500 0.2500
Li26 0.7782 0.0976 0.3126
Li27 0.8148 0.8063 0.4376
Li28 0.8483 0.5231 0.5622
Li29 0.8745 0.8677 0.6250
Li30 0.9024 0.2218 0.6874
Li31 0.9390 0.9350 0.8126
Li32 0.9742 0.6455 0.9375
Mn1 0.0446 0.7054 0.1250
Mn2 0.1699 0.8301 0.5000
Mn3 0.2946 0.9554 0.8750
Mn4 0.4200 0.0799 0.2500
Mn5 0.5442 0.2059 0.6250
Mn6 0.6701 0.3299 0.0000
Mn7 0.7104 0.0396 0.1250
Mn8 0.7941 0.4558 0.3750
Mn9 0.8357 0.1643 0.5000
Mn10 0.9201 0.5800 0.7500
Mn11 0.9604 0.2896 0.8750
Cr1 0.0823 0.4176 0.2500
Cr2 0.2058 0.5340 0.6250
Cr3 0.3323 0.6677 0.0000
Cr4 0.4660 0.7942 0.3750
Cr5 0.5824 0.9177 0.7500
O1 0.0111 0.0058 0.0966
O2 0.0139 0.6466 0.0279
O3 0.0285 0.3808 0.1530
O4 0.1037 0.7361 0.2221
O5 0.1174 0.4709 0.3470
O6 0.1202 0.1145 0.2784
O7 0.1359 0.1305 0.4715
O8 0.1362 0.7709 0.4029
O9 0.1534 0.5055 0.5280
O10 0.2291 0.8638 0.5971
O11 0.2369 0.5900 0.7216
O12 0.2464 0.2446 0.6534
O13 0.2612 0.2559 0.8465
O14 0.2639 0.8963 0.7779
O15 0.2785 0.6308 0.9030
O16 0.3534 0.9861 0.9721
O17 0.3692 0.7215 0.0970
O18 0.3705 0.3647 0.0284
O19 0.3854 0.0233 0.1529
O20 0.3852 0.3792 0.2216
O21 0.4100 0.7631 0.2784
O22 0.4776 0.1214 0.3468
O23 0.4945 0.8466 0.4720
O24 0.4953 0.4836 0.4039
O25 0.5111 0.1482 0.5279
O26 0.5164 0.5047 0.5961
O27 0.5291 0.8826 0.6530
O28 0.6029 0.2361 0.7222
O29 0.6192 0.9715 0.8470
O30 0.6208 0.6148 0.7784
O31 0.6354 0.2732 0.9029
O32 0.6353 0.6295 0.9716
O33 0.6602 0.0133 0.0284
O34 0.7268 0.3646 0.0971
O35 0.7370 0.0901 0.2216
O36 0.7441 0.7388 0.1535
O37 0.7554 0.7536 0.3466
O38 0.7639 0.3971 0.2778
O39 0.7753 0.1287 0.4028
O40 0.8518 0.4889 0.4721
O41 0.8695 0.8641 0.5285
O42 0.8713 0.2247 0.5972
O43 0.8786 0.5224 0.6532
O44 0.8855 0.8798 0.7216
O45 0.9099 0.2630 0.7784
O46 0.9767 0.6146 0.8471
O47 0.9867 0.3398 0.9716
O48 0.9942 0.9889 0.9034

Computed properties:
ΔE_f	-2.20	eV/atom
energy above the most stable polymorph in this dataset	0	meV per atom
size of the total moment	43.00	μB/f.u.
E (MP2020)	-658.394	eV/cell

Entry 6:
## Li4TiCo3O8 (GGA+U)

Data for a relaxed structure of Li4TiCo3O8.

abc: 5.8728 5.8984 10.2613
angles: 74.05 73.83 60.60
Atoms (fractional coordinates):
Li1 0.2480 0.2492 0.2486
Li2 0.2499 0.2529 0.7509
Li3 0.2502 0.7486 0.7483
Li4 0.2521 0.7492 0.2485
Li5 0.7479 0.2508 0.7515
Li6 0.7498 0.2514 0.2517
Li7 0.7501 0.7471 0.2491
Li8 0.7520 0.7508 0.7514
Ti1 0.0000 0.0000 0.5000
Ti2 0.5000 0.5000 0.0000
Co1 0.0000 0.0000 0.0000
Co2 0.0000 0.5000 0.0000
Co3 0.0000 0.5000 0.5000
Co4 0.5000 0.0000 0.0000
Co5 0.5000 0.0000 0.5000
Co6 0.5000 0.5000 0.5000
O1 0.1180 0.1282 0.6169
O2 0.1185 0.6443 0.6177
O3 0.1432 0.1104 0.1070
O4 0.1430 0.6236 0.1164
O5 0.3575 0.8746 0.3841
O6 0.3612 0.3894 0.3922
O7 0.3786 0.3856 0.8813
O8 0.3851 0.8667 0.8862
O9 0.6149 0.1333 0.1138
O10 0.6214 0.6144 0.1187
O11 0.6388 0.6106 0.6078
O12 0.6425 0.1254 0.6159
O13 0.8570 0.3764 0.8836
O14 0.8568 0.8896 0.8930
O15 0.8815 0.3557 0.3823
O16 0.8820 0.8718 0.3831

Computed properties:
ΔE_f	-2.08	eV/atom
energy above the most stable polymorph in this dataset	9	meV per atom
size of the total moment	1.00	μB/f.u.
E (MP2020)	-219.288	eV/cell

Entry 7:
## Fe3As2O16 (GGA+U)

Data for a relaxed structure of Fe3As2O16.

abc: 4.9252 8.0430 9.2188
angles: 74.04 87.44 80.09
Atoms (fractional coordinates):
Fe1 0.0000 0.0000 0.0000
Fe2 0.4593 0.6242 0.5978
Fe3 0.5407 0.3758 0.4022
As1 0.0075 0.6846 0.3361
As2 0.9925 0.3154 0.6639
O1 0.1100 0.1464 0.8171
O2 0.1463 0.7632 0.4661
O3 0.2284 0.5272 0.2761
O4 0.2943 0.3982 0.5905
O5 0.3291 0.7456 0.7665
O6 0.3622 0.9915 0.1137
O7 0.4065 0.8646 0.0496
O8 0.4932 0.1666 0.3202
O9 0.5068 0.8334 0.6798
O10 0.5935 0.1354 0.9504
O11 0.6378 0.0085 0.8863
O12 0.6709 0.2544 0.2335
O13 0.7057 0.6018 0.4095
O14 0.7716 0.4728 0.7239
O15 0.8537 0.2368 0.5339
O16 0.8900 0.8536 0.1829

Computed properties:
ΔE_f	-0.76	eV/atom
energy above the most stable polymorph in this dataset	0	meV per atom
size of the total moment	16.00	μB/f.u.
E (MP2020)	-129.809	eV/cell

Entry 8:
## BaCaCrBiO6 (GGA+U)

Data for a relaxed structure of BaCaCrBiO6.

abc: 5.8161 5.8161 5.8161
angles: 60.00 60.00 60.00
Atoms (fractional coordinates):
Ba1 0.0000 0.0000 0.0000
Ca1 0.5000 0.5000 0.5000
Cr1 0.2500 0.2500 0.2500
Bi1 0.7500 0.7500 0.7500
O1 0.0056 0.0056 0.4944
O2 0.0056 0.4944 0.0056
O3 0.0056 0.4944 0.4944
O4 0.4944 0.0056 0.0056
O5 0.4944 0.0056 0.4944
O6 0.4944 0.4944 0.0056

Computed properties:
ΔE_f	-2.28	eV/atom
size of the total moment	3.00	μB/f.u.
E (MP2020)	-69.928	eV/cell

Entry 9:
## Li4V5Fe3O16 (GGA+U)

Data for a relaxed structure of Li4V5Fe3O16.

abc: 5.9010 5.9517 9.5457
angles: 89.39 89.19 60.56
Atoms (fractional coordinates):
Li1 0.0000 0.0000 0.0000
Li2 0.0057 0.9922 0.5000
Li3 0.3260 0.3228 0.8973
Li4 0.6573 0.6611 0.4020
V1 0.1673 0.6505 0.2153
V2 0.1697 0.1717 0.2249
V3 0.3322 0.3272 0.4953
V4 0.3456 0.8148 0.7263
V5 0.6658 0.6599 0.9960
Fe1 0.6648 0.1598 0.2180
Fe2 0.8285 0.3330 0.7171
Fe3 0.8301 0.8257 0.7159
O1 0.0074 0.0002 0.3110
O2 0.0134 0.9888 0.8107
O3 0.0336 0.4672 0.3487
O4 0.1709 0.6595 0.6026
O5 0.1750 0.1670 0.5997
O6 0.3313 0.3076 0.1077
O7 0.3478 0.8156 0.0999
O8 0.4718 0.0332 0.3491
O9 0.4716 0.4686 0.3512
O10 0.5085 0.5191 0.8494
O11 0.5136 0.9511 0.8482
O12 0.6452 0.6718 0.6096
O13 0.6681 0.1630 0.6024
O14 0.8377 0.3273 0.1014
O15 0.8397 0.8224 0.1034
O16 0.9469 0.5185 0.8517

Computed properties:
ΔE_f	-2.24	eV/atom
size of the total moment	21.00	μB/f.u.
E (MP2020)	-220.447	eV/cell